No. 1
## LaCrO3 (PBE with a Hubbard U)

Data for LaCrO3 after structural relaxation.

```
LaCrO3
1.0
3.927 0.000 0.000
0.000 3.927 0.000
0.000 0.000 3.927
La Cr O
1 1 3
direct
0.000 0.000 0.000
0.500 0.500 0.500
0.000 0.500 0.500
0.500 0.000 0.500
0.500 0.500 0.000
```

Calculated values
The value obtained for the energy of formation from the pure elements is -3.105 eV per atom. The total magnetization is 3.0 μB per formula unit.

***

No. 2
## LaCrO4 (PBE with a Hubbard U)

Data for LaCrO4 after structural relaxation.

```
LaCrO4
1.0
6.750 0.000 0.000
0.000 7.290 0.000
-4.832 0.000 6.885
La Cr O
4 4 16
direct
0.183 0.155 0.283
0.183 0.345 0.783
0.817 0.655 0.217
0.817 0.845 0.717
0.310 0.664 0.197
0.310 0.836 0.697
0.690 0.164 0.303
0.690 0.336 0.803
0.102 0.660 0.607
0.102 0.840 0.107
0.175 0.002 0.753
0.175 0.498 0.253
0.347 0.611 0.016
0.347 0.889 0.516
0.393 0.208 0.119
0.393 0.292 0.619
0.607 0.708 0.381
0.607 0.792 0.881
0.653 0.111 0.484
0.653 0.389 0.984
0.825 0.502 0.747
0.825 0.998 0.247
0.898 0.160 0.893
0.898 0.340 0.393
```

Calculated values
The value obtained for the energy of formation from the pure elements is -2.777 eV per atom.

***

No. 3
## La2Cr2O5 (PBE with a Hubbard U)

Data for La2Cr2O5 after structural relaxation.

```
La2Cr2O5
1.0
-7.890 2.788 2.771
7.890 -2.788 2.771
7.890 2.788 -2.771
La Cr O
4 4 10
direct
0.018 0.128 0.146
0.018 0.372 0.390
0.982 0.628 0.610
0.982 0.872 0.854
0.454 0.746 0.208
0.500 0.000 0.500
0.500 0.500 0.000
0.538 0.246 0.792
0.000 0.009 0.491
0.412 0.628 0.031
0.412 0.881 0.284
0.501 0.278 0.280
0.501 0.721 0.723
0.518 0.509 0.509
0.597 0.128 0.716
0.597 0.381 0.969
0.998 0.221 0.720
0.998 0.778 0.277
```

Calculated values
The value obtained for the energy of formation from the pure elements is -2.882 eV per atom. The total magnetization is 6.9 μB per formula unit.

***

No. 4
## La2CrO6 (PBE with a Hubbard U)

Data for La2CrO6 after structural relaxation.

```
La2CrO6
1.0
7.272 -2.219 0.000
7.272 2.219 0.000
-2.536 0.000 8.128
La Cr O
4 2 12
direct
0.164 0.177 0.085
0.177 0.164 0.585
0.823 0.836 0.415
0.836 0.823 0.915
0.456 0.544 0.750
0.544 0.456 0.250
0.233 0.765 0.592
0.234 0.568 0.201
0.235 0.277 0.378
0.235 0.767 0.908
0.277 0.235 0.878
0.432 0.766 0.299
0.568 0.234 0.701
0.723 0.765 0.122
0.765 0.233 0.092
0.765 0.723 0.622
0.766 0.432 0.799
0.767 0.235 0.408
```

Calculated values
The value obtained for the energy of formation from the pure elements is -3.024 eV per atom.

***

No. 5
## La2CrO6 (PBE with a Hubbard U)

Data for La2CrO6 after structural relaxation.

```
La2CrO6
1.0
2.847 1.644 4.232
-2.847 1.644 4.232
0.000 -3.287 4.232
La Cr O
2 1 6
direct
0.245 0.245 0.245
0.755 0.755 0.755
0.500 0.500 0.500
0.189 0.354 0.710
0.290 0.811 0.646
0.354 0.710 0.189
0.646 0.290 0.811
0.710 0.189 0.354
0.811 0.646 0.290
```

Calculated values
The value obtained for the energy of formation from the pure elements is -2.797 eV per atom. The total magnetization is 0.0 μB per formula unit.

***

No. 6
## LaPrCr2O6 (PBE with a Hubbard U)

Data for LaPrCr2O6 after structural relaxation.

```
LaPrCr2O6
1.0
7.883 0.000 0.000
0.000 5.568 0.000
0.000 0.000 5.599
La Pr Cr O
2 2 4 12
direct
0.000 0.242 0.000
0.000 0.758 0.500
0.500 0.260 0.073
0.500 0.740 0.573
0.251 0.250 0.533
0.251 0.750 0.033
0.749 0.250 0.533
0.749 0.750 0.033
0.000 0.331 0.550
0.000 0.669 0.050
0.207 0.037 0.246
0.207 0.963 0.746
0.296 0.465 0.818
0.296 0.535 0.318
0.500 0.166 0.513
0.500 0.834 0.013
0.704 0.465 0.818
0.704 0.535 0.318
0.793 0.037 0.246
0.793 0.963 0.746
```

Calculated values
The value obtained for the energy of formation from the pure elements is -3.156 eV per atom. The total magnetization is 6.0 μB per formula unit.

***

No. 7
## LaZnCrSbO6 (PBE with a Hubbard U)

Data for LaZnCrSbO6 after structural relaxation.

```
LaZnCrSbO6
1.0
5.505 0.000 0.000
0.000 5.698 0.000
-5.494 0.000 7.986
La Zn Cr Sb O
2 2 2 2 12
direct
0.000 0.198 0.000
0.000 0.802 0.500
0.518 0.261 0.500
0.518 0.739 0.000
0.762 0.260 0.250
0.762 0.740 0.750
0.263 0.266 0.751
0.263 0.734 0.251
0.003 0.453 0.192
0.003 0.547 0.692
0.148 0.219 0.498
0.148 0.781 0.998
0.418 0.309 0.000
0.418 0.691 0.500
0.516 0.066 0.315
0.516 0.934 0.815
0.619 0.455 0.806
0.619 0.545 0.306
0.883 0.061 0.689
0.883 0.939 0.189
```

Calculated values
The value obtained for the energy of formation from the pure elements is -2.325 eV per atom. The total magnetization is 3.9 μB per formula unit.

***

No. 8
## La5Sm3Cr8O24 (PBE with a Hubbard U)

Data for La5Sm3Cr8O24 after structural relaxation.

```
La5Sm3Cr8O24
1.0
7.841 0.000 0.000
0.000 7.841 0.000
0.000 0.000 7.841
La Sm Cr O
5 3 8 24
direct
0.000 0.000 0.000
0.000 0.000 0.500
0.000 0.500 0.000
0.500 0.000 0.000
0.500 0.500 0.000
0.000 0.500 0.500
0.500 0.000 0.500
0.500 0.500 0.500
0.250 0.250 0.251
0.250 0.250 0.749
0.250 0.750 0.251
0.250 0.750 0.749
0.750 0.250 0.251
0.750 0.250 0.749
0.750 0.750 0.251
0.750 0.750 0.749
0.000 0.251 0.251
0.000 0.251 0.749
0.000 0.749 0.251
0.000 0.749 0.749
0.250 0.250 0.000
0.250 0.500 0.252
0.250 0.500 0.748
0.250 0.750 0.000
0.251 0.000 0.251
0.251 0.000 0.749
0.251 0.251 0.500
0.251 0.749 0.500
0.500 0.250 0.252
0.500 0.250 0.748
0.500 0.750 0.252
0.500 0.750 0.748
0.749 0.000 0.251
0.749 0.000 0.749
0.749 0.251 0.500
0.749 0.749 0.500
0.750 0.250 0.000
0.750 0.500 0.252
0.750 0.500 0.748
0.750 0.750 0.000
```

Calculated values
The value obtained for the energy of formation from the pure elements is -3.055 eV per atom. The total magnetization is 24.0 μB per formula unit.

***

No. 9
## LaSm3Cr4O12 (PBE with a Hubbard U)

Data for LaSm3Cr4O12 after structural relaxation.

```
LaSm3Cr4O12
1.0
5.460 0.000 0.000
0.000 7.792 0.000
-0.006 0.000 5.611
La Sm Cr O
1 3 4 12
direct
0.000 0.000 0.000
0.025 0.500 0.101
0.497 0.500 0.598
0.525 0.000 0.490
0.009 0.252 0.546
0.009 0.748 0.546
0.511 0.253 0.044
0.511 0.747 0.044
0.107 0.000 0.564
0.214 0.304 0.839
0.214 0.696 0.839
0.304 0.303 0.337
0.304 0.697 0.337
0.428 0.000 0.074
0.609 0.500 0.013
0.709 0.203 0.745
0.709 0.797 0.745
0.802 0.205 0.254
0.802 0.795 0.254
0.913 0.500 0.516
```

Calculated values
The value obtained for the energy of formation from the pure elements is -3.176 eV per atom. The total magnetization is 0.0 μB per formula unit.

***

No. 10
## LaSmCr2O6 (PBE with a Hubbard U)

Data for LaSmCr2O6 after structural relaxation.

```
LaSmCr2O6
1.0
7.831 0.000 0.000
0.000 5.501 0.000
0.000 0.000 5.587
La Sm Cr O
2 2 4 12
direct
0.000 0.242 0.000
0.000 0.758 0.500
0.500 0.261 0.089
0.500 0.739 0.589
0.254 0.249 0.539
0.254 0.751 0.039
0.746 0.249 0.539
0.746 0.751 0.039
0.000 0.329 0.556
0.000 0.671 0.056
0.210 0.045 0.243
0.210 0.955 0.743
0.303 0.457 0.830
0.303 0.543 0.330
0.500 0.155 0.509
0.500 0.845 0.009
0.697 0.457 0.830
0.697 0.543 0.330
0.790 0.045 0.243
0.790 0.955 0.743
```

Calculated values
The value obtained for the energy of formation from the pure elements is -3.177 eV per atom. The total magnetization is 6.0 μB per formula unit.

***

No. 11
## La5Sm3Cr8O20 (PBE with a Hubbard U)

Data for La5Sm3Cr8O20 after structural relaxation.

```
La5Sm3Cr8O20
1.0
11.084 0.000 0.000
-0.107 11.484 0.000
-5.438 -5.720 15.843
La Sm Cr O
20 12 32 80
direct
0.000 0.000 0.000
0.000 0.001 0.499
0.119 0.113 0.238
0.123 0.112 0.740
0.123 0.613 0.738
0.252 0.244 0.502
0.254 0.745 0.502
0.367 0.870 0.239
0.372 0.872 0.739
0.375 0.370 0.739
0.502 0.500 0.501
0.505 0.004 0.502
0.621 0.112 0.238
0.621 0.614 0.239
0.622 0.112 0.739
0.622 0.612 0.737
0.754 0.244 0.503
0.755 0.743 0.502
0.871 0.872 0.737
0.872 0.369 0.738
0.003 0.505 0.505
0.004 0.504 0.006
0.116 0.609 0.234
0.250 0.244 0.005
0.255 0.746 0.007
0.365 0.368 0.234
0.501 0.004 0.003
0.501 0.504 0.006
0.749 0.245 0.005
0.750 0.745 0.005
0.866 0.369 0.237
0.869 0.870 0.234
0.065 0.804 0.118
0.066 0.308 0.120
0.066 0.807 0.619
0.067 0.308 0.620
0.179 0.432 0.368
0.179 0.927 0.368
0.184 0.430 0.872
0.185 0.927 0.871
0.314 0.557 0.619
0.316 0.057 0.620
0.316 0.555 0.118
0.317 0.058 0.119
0.427 0.681 0.368
0.431 0.186 0.368
0.432 0.685 0.872
0.433 0.187 0.872
0.566 0.308 0.621
0.566 0.807 0.620
0.567 0.309 0.120
0.567 0.806 0.117
0.682 0.430 0.369
0.682 0.929 0.872
0.684 0.928 0.368
0.686 0.431 0.873
0.815 0.057 0.119
0.817 0.058 0.621
0.817 0.556 0.119
0.817 0.557 0.620
0.931 0.189 0.369
0.933 0.189 0.873
0.933 0.682 0.871
0.936 0.680 0.368
0.009 0.701 0.494
0.012 0.205 0.495
0.020 0.698 0.994
0.023 0.202 0.996
0.135 0.409 0.747
0.137 0.910 0.243
0.138 0.908 0.745
0.142 0.415 0.245
0.173 0.425 0.595
0.175 0.422 0.092
0.176 0.917 0.092
0.177 0.921 0.595
0.198 0.684 0.142
0.199 0.691 0.640
0.201 0.199 0.145
0.202 0.193 0.643
0.225 0.735 0.364
0.231 0.248 0.875
0.232 0.252 0.370
0.232 0.738 0.876
0.258 0.533 0.493
0.261 0.033 0.494
0.269 0.538 0.994
0.274 0.041 0.994
0.381 0.582 0.746
0.383 0.081 0.746
0.387 0.573 0.243
0.388 0.076 0.245
0.424 0.415 0.092
0.426 0.423 0.600
0.429 0.911 0.091
0.429 0.920 0.599
0.450 0.695 0.141
0.450 0.695 0.642
0.451 0.194 0.644
0.452 0.206 0.147
0.475 0.373 0.365
0.482 0.872 0.874
0.484 0.381 0.875
0.485 0.864 0.369
0.507 0.704 0.494
0.510 0.207 0.494
0.522 0.697 0.993
0.523 0.200 0.996
0.633 0.409 0.748
0.635 0.907 0.746
0.648 0.908 0.243
0.650 0.414 0.244
0.672 0.921 0.089
0.674 0.424 0.090
0.679 0.425 0.598
0.679 0.923 0.598
0.700 0.690 0.640
0.702 0.189 0.642
0.702 0.196 0.144
0.706 0.691 0.143
0.730 0.247 0.875
0.732 0.739 0.874
0.733 0.244 0.370
0.743 0.741 0.370
0.763 0.034 0.494
0.767 0.042 0.995
0.772 0.533 0.494
0.774 0.541 0.995
0.882 0.581 0.746
0.886 0.083 0.747
0.887 0.074 0.244
0.894 0.571 0.243
0.923 0.909 0.094
0.924 0.416 0.091
0.930 0.917 0.599
0.931 0.421 0.598
0.950 0.204 0.147
0.952 0.197 0.644
0.953 0.695 0.643
0.954 0.696 0.147
0.978 0.386 0.370
0.979 0.873 0.364
0.982 0.380 0.875
0.983 0.864 0.869
```

Calculated values
The value obtained for the energy of formation from the pure elements is -2.843 eV per atom. The total magnetization is 32.0 μB per formula unit.

***

Question: What is the energy of formation from the pure elements in the tenth record?
Answer: -3.177 eV per atom

***

Question: Which of these has the highest energy of formation from the pure elements?
Answer: LaZnCrSbO6